Record 1
A plane-wave DFT calculation with PBE-GGA was carried out for LiAsSe2 after structural relaxation.

Values from the calculation:
Largest piezoelectric modulus, C/m2: 1.466
Space-group type: Cc
Formation energy from the elements, eV/atom: -0.790
Total energy after the MP2020 corrections, eV per atom: -4.180

The structure in extended XYZ format:
```
8
Lattice="-6.1556 1.1442 2.7642 -4.7295 -4.2131 2.5928 0.2781 -0.1061 5.6287" Properties=species:S:1:pos:R:3 pbc="T T T"
Li -5.6438 -0.3084 5.5192
Li -4.8241 -2.9186 8.2518
As -3.4620 0.5901 2.5009
As -2.5323 -2.4328 5.2203
Se -7.5547 -3.5770 8.2352
Se -8.3407 -1.0936 5.4986
Se -5.6960 -0.1093 2.7279
Se -4.8148 -2.9503 5.4531
```

Record 2
A plane-wave DFT calculation with PBE-GGA was carried out for Co2CuN2 after structural relaxation.

Values from the calculation:
ΔE to the lowest computed polymorph, kcal/mol of atoms: 3.22
Space-group type: Pmmn
Formation energy from the elements, eV/atom: 0.245
Total energy after the MP2020 corrections, eV per atom: -6.752

The structure in extended XYZ format:
```
10
Lattice="-2.6055 -0.4099 -0.8228 0.0685 2.4271 -1.4261 3.9450 -5.7642 -9.6203" Properties=species:S:1:pos:R:3 pbc="T T T"
Co -1.5628 0.9374 -2.4765
Co -0.2745 -0.9450 -5.6182
Co 2.9708 -4.6844 -9.3927
Co 1.6825 -2.8021 -6.2511
Cu 1.0567 -2.7862 -8.9161
Cu 0.3513 -0.9608 -2.9532
N 0.4123 -1.9150 -7.3095
N 1.6973 -3.7926 -10.4432
N 0.9957 -1.8321 -4.5597
N -0.2893 0.0455 -1.4260
```

Record 3
A plane-wave DFT calculation with PBE-GGA was carried out for Na3Sr4Nd3Ti10O30 after structural relaxation.

Values from the calculation:
Space-group type: P1
Formation energy from the elements, eV/atom: -3.460
Total energy after the MP2020 corrections, eV per atom: -8.508

The structure in extended XYZ format:
```
50
Lattice="0.6192 -3.9310 -3.8157 1.3642 3.8000 -3.7594 17.8133 -1.7911 8.6749" Properties=species:S:1:pos:R:3 pbc="T T T"
Na 13.4708 -3.2953 1.4754
Na 10.1057 0.9898 0.5386
Na 5.9972 -2.5097 -0.3897
Sr 17.6085 0.2400 2.4932
Sr 17.1930 -3.6345 2.4532
Sr 2.5651 1.7080 -1.3814
Sr 2.2061 -2.1465 -1.4128
Nd 13.7812 0.6010 1.5707
Nd 9.6527 -2.8728 0.5941
Nd 6.3023 1.3425 -0.3264
Ti 18.8068 -1.8491 4.8648
Ti 14.9881 -1.4670 3.8686
Ti 11.2572 -1.1323 2.9408
Ti 12.2332 -1.1812 -0.8489
Ti 8.5121 -0.8122 -1.7788
Ti 15.9560 -1.5483 0.0809
Ti 7.5213 -0.7203 2.0177
Ti 3.7950 -0.3815 1.0214
Ti 4.7962 -0.4377 -2.7683
Ti 17.7989 -1.7812 8.6512
O 18.8131 0.0884 4.9829
O 16.8882 -1.8441 4.3957
O 14.5032 -3.3887 4.0811
O 17.9195 -1.5751 0.6046
O 14.0902 -1.6831 -0.3833
O 1.5196 0.0210 -5.6789
O 11.6616 -3.0649 -0.6500
O 15.4753 -1.6708 2.0189
O 13.1680 -0.9613 3.3981
O 9.3854 -1.2560 2.4142
O 14.5036 -1.3015 5.8070
O 8.3308 1.1673 -1.5817
O 10.8085 -1.4113 4.8379
O 10.4518 -0.6556 -1.4057
O 6.6723 -0.9119 -2.3724
O 11.8270 -0.8324 1.0438
O 15.4436 0.4277 3.7781
O 4.3690 -2.3502 -2.6840
O 8.0625 -1.0843 0.0636
O 5.7371 -0.2691 1.4124
O 9.0936 -0.5087 -3.7210
O 11.4290 -3.0709 2.7174
O 5.3197 -0.7640 -4.6953
O 2.9374 -0.0943 -3.3125
O 4.3742 -0.1354 -0.9071
O 8.6821 -2.7646 -2.0466
O 0.5186 -0.1638 -1.8918
O 1.9145 -0.3600 0.4835
O 5.2728 1.4642 -2.9125
O 0.9918 -2.0196 -3.8782
```

Record 4
A plane-wave DFT calculation with PBE-GGA was carried out for ReAsC5SNO5F7 after structural relaxation.

Values from the calculation:
Space-group type: P2_12_12_1
Formation energy from the elements, eV/atom: -1.500
Total energy after the MP2020 corrections, eV per atom: -6.921

The structure in extended XYZ format:
```
84
Lattice="6.8229 0.0000 0.0000 0.0000 11.3669 0.0000 0.0000 0.0000 17.5494" Properties=species:S:1:pos:R:3 pbc="T T T"
Re 5.2430 5.3059 2.2689
Re 1.5798 10.9894 6.5058
Re 4.9913 6.0610 11.0437
Re 1.8316 0.3775 15.2805
As 5.3482 0.0380 11.0659
As 4.8861 11.3289 2.2912
As 1.4746 5.7215 15.2582
As 1.9368 5.6454 6.4835
C 5.7395 4.5315 12.1739
C 3.6162 10.7867 15.2941
C 5.7279 4.2490 3.9000
C 1.0834 10.2149 14.1502
C 3.4226 10.0717 6.5473
C 3.4003 4.3883 2.2274
C 6.6181 0.5802 6.5194
C 6.0659 3.8273 1.1245
C 3.2067 5.1033 11.0300
C 0.7570 9.5107 7.6502
C 2.6545 1.8562 16.4250
C 4.1684 7.5396 9.8992
C 2.3280 1.1520 5.3755
C 2.3165 1.4344 13.6495
C 4.4948 6.8354 3.3992
C 0.0111 6.9786 11.0021
C 1.0950 9.9325 4.8747
C 0.2048 6.2636 2.2553
C 6.8117 1.2952 15.3220
C 4.5064 7.1179 12.6747
S 1.3697 9.8601 0.6103
S 2.0417 1.5068 9.3850
S 5.4532 4.1767 8.1644
S 4.7811 7.1902 16.9392
N 2.0990 0.6387 8.2338
N 1.3124 10.7282 17.0086
N 5.5105 5.0448 9.3156
N 4.7238 6.3221 0.5409
O 6.5684 3.0170 0.4846
O 6.1304 3.6691 12.8217
O 1.2084 6.8256 2.2391
O 4.2598 7.7646 13.5987
O 0.8484 9.2857 3.9508
O 2.3724 3.8738 2.2066
O 5.6145 1.1422 6.5356
O 4.4505 9.5572 6.5681
O 3.6659 8.3499 9.2593
O 4.1039 7.6978 4.0470
O 1.0390 7.4931 10.9813
O 2.2030 4.5412 11.0138
O 2.5630 2.0812 12.7255
O 3.1569 2.6665 17.0648
O 5.9745 3.6023 4.8239
O 0.6925 9.3525 13.5025
O 4.6199 10.2247 15.3103
O 0.2545 8.7004 8.2901
O 5.7838 1.8096 15.3428
O 2.7190 2.0144 4.7277
F 1.1447 3.9903 15.0489
F 3.2101 5.3794 15.3949
F 6.6215 0.3040 2.1545
F 0.7390 2.5771 9.3516
F 0.2625 0.3737 11.2319
F 6.0839 8.2605 16.9726
F 5.2535 9.6126 2.0511
F 3.1489 10.9932 2.4572
F 2.6725 8.7898 0.5769
F 5.5329 11.2255 9.3061
F 3.6128 11.0629 10.9292
F 4.5562 1.6931 2.5005
F 4.7014 0.1414 0.5313
F 4.1504 3.1064 8.1979
F 5.6781 9.6738 11.2752
F 2.2667 7.3765 6.2742
F 1.7683 5.4374 4.7308
F 5.1798 0.2460 12.8186
F 5.0545 11.1209 4.0439
F 4.9808 1.7543 10.8258
F 3.6739 5.3098 6.3175
F 2.1215 5.8249 8.2434
F 0.2014 5.9875 6.6202
F 1.2900 5.5420 17.0181
F 1.5694 3.9291 6.7236
F 1.6431 5.9294 13.5055
F 6.5604 6.0571 15.0923
F 1.8421 7.4377 15.4983
```

Record 5
A plane-wave DFT calculation with PBE-GGA was carried out for Zr2N2O after structural relaxation.

Values from the calculation:
Space-group type: P1
Formation energy from the elements, eV/atom: -2.194
Total energy after the MP2020 corrections, eV per atom: -9.937

The structure in extended XYZ format:
```
40
Lattice="8.8629 0.0000 0.0000 -2.9500 8.3662 0.0000 -2.9507 -4.1690 7.2586" Properties=species:S:1:pos:R:3 pbc="T T T"
Zr -2.7636 -1.2277 5.6858
Zr 3.0436 4.2232 0.0994
Zr 3.1368 -2.2161 7.0250
Zr -0.2306 0.2304 3.8972
Zr 2.7223 0.8261 5.4813
Zr -3.1309 4.9394 5.4818
Zr -2.8690 -4.1071 7.1931
Zr -0.1732 3.2886 5.1409
Zr 3.1886 0.9312 2.0671
Zr -0.0058 6.1770 3.5809
Zr 5.8715 2.0032 3.5699
Zr 6.0603 -0.7665 1.8611
Zr 0.1946 3.3911 1.8208
Zr 3.1326 4.0182 3.3615
Zr -0.2272 6.4413 0.3024
Zr 5.7375 5.3740 1.4940
N 1.9125 -2.9735 5.3814
N 0.6451 1.3320 5.6019
N 3.5769 2.1212 6.9541
N -0.7715 2.1871 3.3243
N 3.7337 1.9984 3.9486
N 6.4213 -0.0522 3.8772
N 3.4812 5.0785 5.2763
N 1.0507 4.3389 3.7475
N -1.0303 5.2229 1.9855
N -0.6657 2.1010 0.2941
N 2.1916 0.2298 0.2153
N 2.2898 2.8628 1.6109
N 5.2840 1.3345 1.6514
N 1.0304 7.1804 1.9120
N 3.5113 5.4626 1.7376
N 5.1497 3.8483 0.0829
O -2.1738 0.3770 7.1117
O -0.5322 -1.2685 5.5341
O -2.3251 2.8622 5.6051
O 0.7791 3.9144 7.0488
O 3.9970 -0.9971 5.2499
O 1.8911 -0.1546 3.5441
O -0.4715 -0.8229 1.9937
O -3.4203 4.2346 3.4218
```

Record 6
A plane-wave DFT calculation with PBE-GGA was carried out for Ba5Sn2N6 after structural relaxation.

Values from the calculation:
Space-group type: C2/c
Formation energy from the elements, eV/atom: -0.515
Total energy after the MP2020 corrections, eV per atom: -5.718

The structure in extended XYZ format:
```
26
Lattice="6.7102 -0.1428 0.0920 -3.9114 6.2431 0.0000 -2.0120 -1.2605 14.5315" Properties=species:S:1:pos:R:3 pbc="T T T"
Ba -4.3910 3.5513 14.3631
Ba 2.4123 3.4668 7.5262
Ba 5.1778 1.2885 0.2604
Ba -1.6254 1.3730 7.0974
Ba 0.3646 -0.4337 10.3592
Ba 0.0120 3.6922 11.5301
Ba 0.4222 5.2735 4.2644
Ba 0.7748 1.1476 3.0934
Ba -3.0135 1.4560 10.8986
Ba -2.9099 3.5265 3.6329
Sn -0.9328 4.7937 8.4216
Sn -0.2143 0.8970 13.4677
Sn 1.7196 0.0461 6.2019
Sn 1.0012 3.9428 1.1558
N 0.9737 5.1514 9.1449
N -1.3679 -0.6625 12.7444
N -0.1869 -0.3116 5.4786
N 2.1547 5.5023 1.8792
N -2.1626 3.5526 9.5787
N 1.4390 1.4622 12.3106
N 2.9494 1.2872 5.0448
N -0.6521 3.3776 2.3130
N 2.1121 0.5810 8.2514
N -1.6634 2.5625 13.6379
N -1.3253 4.2588 6.3721
N 2.4502 2.2773 0.9857
```

Record 7
A plane-wave DFT calculation with PBE-GGA was carried out for TmFe10Mo2 after structural relaxation.

Values from the calculation:
Space-group type: Immm
Formation energy from the elements, eV/atom: -0.016

The structure in extended XYZ format:
```
13
Lattice="2.7626 -0.5638 3.8147 -1.2243 -5.6011 3.0081 2.7418 -2.5024 -5.3048" Properties=species:S:1:pos:R:3 pbc="T T T"
Tm 0.0000 0.0000 0.0000
Fe 1.6148 -5.3339 3.9409
Fe 2.6653 -3.3335 -2.4229
Fe 2.5629 -6.5920 0.1189
Fe 1.7171 -2.0754 1.3990
Fe 2.7522 -1.5331 -0.7451
Fe 1.3709 -1.2512 -2.6524
Fe 0.7691 -3.0825 3.4114
Fe -0.6122 -2.8006 1.5040
Fe 3.0915 -3.9752 0.1229
Fe 1.1885 -4.6922 1.3951
Mo 0.5424 -2.8968 -0.8210
Mo 0.9750 -5.2067 -1.4757
```

Record 8
A plane-wave DFT calculation with PBE-GGA was carried out for Li3MoN2 after structural relaxation.

Values from the calculation:
Space-group type: Ia-3
Formation energy from the elements, eV/atom: -0.482
Total energy after the MP2020 corrections, eV per atom: -6.023

The structure in extended XYZ format:
```
48
Lattice="-7.8858 1.9635 2.5233 -6.6420 -6.4125 3.3628 6.8836 -4.1765 5.6318" Properties=species:S:1:pos:R:3 pbc="T T T"
Li 4.7938 -4.0115 6.3056
Li -7.7513 -5.5003 7.3979
Li -3.8420 -4.6084 7.8468
Li -1.6056 -7.3074 7.1174
Li -5.0967 -5.6385 4.7270
Li -10.6007 -3.3222 4.6007
Li -5.2704 -7.8347 6.5239
Li -7.8464 -2.6917 4.9152
Li -0.6339 -1.9667 5.9983
Li -4.1104 -2.2974 5.2095
Li 1.3044 -4.0425 5.8684
Li -5.2066 -2.5320 2.5969
Li -12.4381 -4.6140 5.2123
Li 0.1070 -3.1252 4.1201
Li -3.8023 -4.0171 3.6711
Li -6.0387 -1.3182 4.4005
Li -2.5476 -2.9871 6.7909
Li 2.9564 -5.3034 6.9172
Li -2.3739 -0.7908 4.9940
Li 0.2021 -5.9339 6.6028
Li -7.0104 -6.6588 5.5196
Li -3.5338 -6.3282 6.3084
Li -8.9487 -4.5830 5.6496
Li -2.4376 -6.0935 8.9211
Mo 3.2091 -2.6020 4.7091
Mo -5.6325 -6.3942 8.7240
Mo -5.9344 -3.7868 6.4348
Mo -6.9308 -4.4681 3.1679
Mo -4.2114 0.3890 3.4461
Mo -2.0118 -2.2314 2.7939
Mo -1.7099 -4.8387 5.0831
Mo -7.5971 0.0190 2.7182
N 3.4418 -2.0883 2.8159
N -3.3210 -3.2062 1.6814
N 0.1208 -5.2945 4.4973
N 0.0000 0.0000 0.0000
N -5.2896 -8.4351 8.7812
N -5.6756 -3.3967 4.4181
N 3.3647 -4.6521 4.9521
N 0.3186 -8.0252 6.8584
N -5.5275 -5.7928 6.7457
N -1.9960 -8.1272 9.2695
N -2.3546 -0.1904 2.7367
N -1.9686 -5.2289 7.0998
N -3.1232 -5.9369 4.0425
N -0.0770 -2.5639 2.1362
N -2.1168 -2.8327 4.7722
N -5.6483 -0.4983 2.2484
```